SrCaTi4O12, relaxed, DFT GGA-PBE; space group = Amm2; MP2020-corrected energy = -8.231 eV per atom
1.0
0.0000 3.8922 3.8913
0.0000 -3.8922 3.8913
7.7692 0.0000 0.0000
O Ti Sr Ca
12 4 1 1
Direct
0.2339 0.7652 0.2505 O
0.4830 0.0128 0.5000 O
0.2339 0.7652 0.7495 O
0.2728 0.2728 0.7801 O
0.7362 0.7362 0.7407 O
0.7652 0.2339 0.7495 O
0.9660 0.5143 0.0000 O
0.7362 0.7362 0.2593 O
0.7652 0.2339 0.2505 O
0.5143 0.9660 0.0000 O
0.2728 0.2728 0.2199 O
0.0128 0.4830 0.5000 O
0.4957 0.0054 0.7518 Ti
0.0054 0.4957 0.7518 Ti
0.4957 0.0054 0.2482 Ti
0.0054 0.4957 0.2482 Ti
0.9882 0.9882 0.5000 Sr
0.5151 0.5151 0.0000 Ca

=====

K2FeCuC6N6, relaxed, DFT GGA-PBE; polymorph energy (0 for the lowest one) = 0.572 eV/f.u.; space group = Fm-3m; MP2020-corrected energy = -7.597 eV per atom
1.0
0.0000 5.1594 5.1594
5.1594 0.0000 5.1594
5.1594 5.1594 0.0000
C N K Fe Cu
6 6 2 1 1
Direct
0.8184 0.1816 0.1816 C
0.1816 0.1816 0.8184 C
0.1816 0.8184 0.1816 C
0.8184 0.1816 0.8184 C
0.8184 0.8184 0.1816 C
0.1816 0.8184 0.8184 C
0.2960 0.7040 0.7040 N
0.2960 0.2960 0.7040 N
0.7040 0.2960 0.7040 N
0.7040 0.7040 0.2960 N
0.2960 0.7040 0.2960 N
0.7040 0.2960 0.2960 N
0.2500 0.2500 0.2500 K
0.7500 0.7500 0.7500 K
0.0000 0.0000 0.0000 Fe
0.5000 0.5000 0.5000 Cu

=====

Cu2AsH2O6, relaxed, DFT GGA-PBE; space group = P-1; MP2020-corrected energy = -5.653 eV per atom
1.0
-2.8284 1.1012 -4.4788
4.3936 -5.1293 -6.0452
-5.1316 -8.5027 -0.4748
O Cu H As
24 8 8 4
Direct
0.4789 0.4283 0.7008 O
0.5211 0.5717 0.2992 O
0.2969 0.2534 0.9931 O
0.5994 0.2355 0.2114 O
0.2702 0.5895 0.0562 O
0.8748 0.9281 0.7234 O
0.7041 0.9197 0.4708 O
0.2164 0.7419 0.5098 O
0.9775 0.4264 0.2003 O
0.7984 0.0916 0.9814 O
0.7298 0.4105 0.9438 O
0.1252 0.0719 0.2766 O
0.5282 0.9034 0.2197 O
0.2226 0.4062 0.4478 O
0.7836 0.2581 0.4902 O
0.0415 0.2670 0.7123 O
0.0225 0.5736 0.7997 O
0.4718 0.0966 0.7803 O
0.9585 0.7330 0.2877 O
0.2016 0.9084 0.0186 O
0.2959 0.0803 0.5292 O
0.7774 0.5938 0.5522 O
0.4006 0.7645 0.7886 O
0.7031 0.7466 0.0069 O
0.2333 0.5081 0.2533 Cu
0.1363 0.1043 0.8716 Cu
0.0000 0.5000 0.0000 Cu
0.4132 0.0019 0.3637 Cu
0.7667 0.4919 0.7467 Cu
0.8637 0.8957 0.1284 Cu
0.5868 0.9981 0.6363 Cu
0.5000 0.5000 0.5000 Cu
0.3960 0.9304 0.1527 H
0.4806 0.3144 0.7297 H
0.8085 0.4679 0.2420 H
0.6040 0.0696 0.8473 H
0.1915 0.5321 0.7580 H
0.5194 0.6856 0.2703 H
0.1607 0.1543 0.1921 H
0.8393 0.8457 0.8079 H
0.4102 0.7529 0.9587 As
0.9301 0.7531 0.4590 As
0.5898 0.2471 0.0413 As
0.0699 0.2469 0.5410 As

=====

CaCuS2, relaxed, DFT GGA-PBE; space group = P4/mmm; MP2020-corrected energy = -4.831 eV per atom
1.0
-4.3500 1.4934 0.4571
-1.2000 -4.0619 1.8501
0.8243 1.3381 3.4725
S Cu Ca
2 1 1
Direct
0.0000 0.5000 0.0000 S
0.5000 0.0000 0.0000 S
0.0000 0.0000 0.0000 Cu
0.5000 0.5000 0.5000 Ca

=====

> Look up the MP2020-corrected energy of the fourth one.

-4.831 eV per atom

=====

> Among the records above, which one has the highest MP2020-corrected energy?

CaCuS2